# CaSn2S5 | the Materials Project | PBE | optimized geometry
# distance to the lowest polymorph of the same formula: 83 meV/atom
data_CaSn2S5
_chemical_formula_sum 'Ca4 Sn8 S20'
_cell_length_a 7.4068
_cell_length_b 7.4068
_cell_length_c 18.9178
_cell_angle_alpha 90.00
_cell_angle_beta 90.00
_cell_angle_gamma 123.17
_space_group_name_H-M_alt 'P 1'
_space_group_IT_number 1
loop_
_space_group_symop_operation_xyz
'x,y,z'
loop_
_atom_site_label
_atom_site_type_symbol
_atom_site_fract_x
_atom_site_fract_y
_atom_site_fract_z
Ca1 Ca 0.2073 0.7927 0.3644
Ca2 Ca 0.7927 0.2073 0.6356
Ca3 Ca 0.2927 0.7073 0.8644
Ca4 Ca 0.7073 0.2927 0.1356
Sn1 Sn 0.8316 0.1684 0.3265
Sn2 Sn 0.1684 0.8316 0.6735
Sn3 Sn 0.6684 0.3316 0.8265
Sn4 Sn 0.3316 0.6684 0.1735
Sn5 Sn 0.4925 0.5075 0.3564
Sn6 Sn 0.5075 0.4925 0.6436
Sn7 Sn 0.0075 0.9925 0.8564
Sn8 Sn 0.9925 0.0075 0.1436
S1 S 0.0072 0.9928 0.2724
S2 S 0.9928 0.0072 0.7276
S3 S 0.4928 0.5072 0.7724
S4 S 0.5072 0.4928 0.2276
S5 S 0.6607 0.3393 0.4082
S6 S 0.3393 0.6607 0.5918
S7 S 0.8393 0.1607 0.9082
S8 S 0.1607 0.8393 0.0918
S9 S 0.4897 0.0103 0.2500
S10 S 0.0103 0.4897 0.7500
S11 S 0.5103 0.9897 0.7500
S12 S 0.9897 0.5103 0.2500
S13 S 0.6154 0.8571 0.4135
S14 S 0.8571 0.6154 0.5865
S15 S 0.3571 0.1154 0.9135
S16 S 0.1154 0.3571 0.0865
S17 S 0.3846 0.1429 0.5865
S18 S 0.1429 0.3846 0.4135
S19 S 0.6429 0.8846 0.0865
S20 S 0.8846 0.6429 0.9135


# Ca3SnS5 | the Materials Project | PBE | optimized geometry
# distance to the lowest polymorph of the same formula: 151 meV/atom
data_Ca3SnS5
_chemical_formula_sum 'Ca6 Sn2 S10'
_cell_length_a 8.9604
_cell_length_b 8.9604
_cell_length_c 8.9604
_cell_angle_alpha 129.08
_cell_angle_beta 129.08
_cell_angle_gamma 74.88
_space_group_name_H-M_alt 'P 1'
_space_group_IT_number 1
loop_
_space_group_symop_operation_xyz
'x,y,z'
loop_
_atom_site_label
_atom_site_type_symbol
_atom_site_fract_x
_atom_site_fract_y
_atom_site_fract_z
Ca1 Ca 0.7500 0.7500 0.0000
Ca2 Ca 0.2500 0.2500 0.0000
Ca3 Ca 0.3372 0.8372 0.1745
Ca4 Ca 0.6628 0.1628 0.8255
Ca5 Ca 0.8372 0.6628 0.5000
Ca6 Ca 0.1628 0.3372 0.5000
Sn1 Sn 0.7500 0.2500 0.5000
Sn2 Sn 0.2500 0.7500 0.5000
S1 S 0.0000 0.0000 0.0000
S2 S 0.5000 0.5000 0.0000
S3 S 0.0220 0.5220 0.8288
S4 S 0.6932 0.1932 0.1712
S5 S 0.5220 0.6932 0.5000
S6 S 0.1932 0.0220 0.5000
S7 S 0.9780 0.4780 0.1712
S8 S 0.3068 0.8068 0.8288
S9 S 0.4780 0.3068 0.5000
S10 S 0.8068 0.9780 0.5000


# Ca3SnS5 | the Materials Project | PBE | optimized geometry
# distance to the lowest polymorph of the same formula: 0 meV/atom
data_Ca3SnS5
_chemical_formula_sum 'Ca9 Sn3 S15'
_cell_length_a 9.0204
_cell_length_b 9.0204
_cell_length_c 11.7836
_cell_angle_alpha 67.50
_cell_angle_beta 67.50
_cell_angle_gamma 60.00
_space_group_name_H-M_alt 'P 1'
_space_group_IT_number 1
loop_
_space_group_symop_operation_xyz
'x,y,z'
loop_
_atom_site_label
_atom_site_type_symbol
_atom_site_fract_x
_atom_site_fract_y
_atom_site_fract_z
Ca1 Ca 0.5050 0.9939 0.9961
Ca2 Ca 0.9939 0.5050 0.9961
Ca3 Ca 0.5050 0.5050 0.9961
Ca4 Ca 0.3012 0.7334 0.6642
Ca5 Ca 0.7334 0.3012 0.6642
Ca6 Ca 0.3012 0.3012 0.6642
Ca7 Ca 0.7017 0.2711 0.3256
Ca8 Ca 0.2711 0.7017 0.3256
Ca9 Ca 0.7017 0.7017 0.3256
Sn1 Sn 0.0079 0.0079 0.9762
Sn2 Sn 0.2228 0.2228 0.3316
Sn3 Sn 0.7884 0.7884 0.6348
S1 S 0.0847 0.0847 0.7460
S2 S 0.2981 0.2981 0.1058
S3 S 0.8652 0.8652 0.4045
S4 S 0.3884 0.3884 0.8347
S5 S 0.5005 0.5005 0.4985
S6 S 0.6162 0.6162 0.1513
S7 S 0.8360 0.2691 0.0589
S8 S 0.2691 0.8360 0.0589
S9 S 0.8360 0.8360 0.0589
S10 S 0.3424 0.9086 0.4066
S11 S 0.9086 0.3424 0.4066
S12 S 0.3424 0.3424 0.4066
S13 S 0.6165 0.0383 0.7287
S14 S 0.0383 0.6165 0.7287
S15 S 0.6165 0.6165 0.7287


# CaSnS3 | the Materials Project | PBE | optimized geometry
# distance to the lowest polymorph of the same formula: 74 meV/atom
data_CaSnS3
_chemical_formula_sum 'Ca12 Sn12 S36'
_cell_length_a 8.8413
_cell_length_b 8.8413
_cell_length_c 25.1975
_cell_angle_alpha 89.68
_cell_angle_beta 89.68
_cell_angle_gamma 120.29
_space_group_name_H-M_alt 'P 1'
_space_group_IT_number 1
loop_
_space_group_symop_operation_xyz
'x,y,z'
loop_
_atom_site_label
_atom_site_type_symbol
_atom_site_fract_x
_atom_site_fract_y
_atom_site_fract_z
Ca1 Ca 0.0000 0.0000 0.5000
Ca2 Ca 0.6669 0.3217 0.4989
Ca3 Ca 0.3331 0.6783 0.5011
Ca4 Ca 0.9920 0.0080 0.2500
Ca5 Ca 0.0080 0.9920 0.7500
Ca6 Ca 0.6693 0.3307 0.2500
Ca7 Ca 0.3307 0.6693 0.7500
Ca8 Ca 0.3204 0.6796 0.2500
Ca9 Ca 0.6796 0.3204 0.7500
Ca10 Ca 0.0000 0.0000 0.0000
Ca11 Ca 0.6783 0.3331 0.0011
Ca12 Ca 0.3217 0.6669 0.9989
Sn1 Sn 0.6722 0.7250 0.3753
Sn2 Sn 0.3278 0.2750 0.6247
Sn3 Sn 0.3858 0.9951 0.3780
Sn4 Sn 0.6142 0.0049 0.6220
Sn5 Sn 0.9413 0.2826 0.3712
Sn6 Sn 0.0587 0.7174 0.6288
Sn7 Sn 0.7174 0.0587 0.1288
Sn8 Sn 0.2826 0.9413 0.8712
Sn9 Sn 0.2750 0.3278 0.1247
Sn10 Sn 0.7250 0.6722 0.8753
Sn11 Sn 0.0049 0.6142 0.1220
Sn12 Sn 0.9951 0.3858 0.8780
S1 S 0.6843 0.6462 0.4638
S2 S 0.3157 0.3538 0.5362
S3 S 0.3106 0.9972 0.4685
S4 S 0.6894 0.0028 0.5315
S5 S 0.0256 0.3737 0.4589
S6 S 0.9744 0.6263 0.5411
S7 S 0.6740 0.6442 0.2869
S8 S 0.3260 0.3558 0.7131
S9 S 0.2893 0.9866 0.2905
S10 S 0.7107 0.0134 0.7095
S11 S 0.0146 0.3609 0.2803
S12 S 0.9854 0.6391 0.7197
S13 S 0.6391 0.9854 0.2197
S14 S 0.3609 0.0146 0.7803
S15 S 0.3558 0.3260 0.2131
S16 S 0.6442 0.6740 0.7869
S17 S 0.0134 0.7107 0.2095
S18 S 0.9866 0.2893 0.7905
S19 S 0.6263 0.9744 0.0411
S20 S 0.3737 0.0256 0.9589
S21 S 0.3538 0.3157 0.0362
S22 S 0.6462 0.6843 0.9638
S23 S 0.0028 0.6894 0.0315
S24 S 0.9972 0.3106 0.9685
S25 S 0.3871 0.7168 0.3769
S26 S 0.6129 0.2832 0.6231
S27 S 0.9527 0.0101 0.3735
S28 S 0.0473 0.9899 0.6265
S29 S 0.6604 0.2808 0.3738
S30 S 0.3396 0.7192 0.6262
S31 S 0.9899 0.0473 0.1265
S32 S 0.0101 0.9527 0.8735
S33 S 0.7192 0.3396 0.1262
S34 S 0.2808 0.6604 0.8738
S35 S 0.2832 0.6129 0.1231
S36 S 0.7168 0.3871 0.8769


# CaSnS3 | the Materials Project | PBE | optimized geometry
# distance to the lowest polymorph of the same formula: 168 meV/atom
data_CaSnS3
_chemical_formula_sum 'Ca8 Sn8 S24'
_cell_length_a 9.9747
_cell_length_b 9.9747
_cell_length_c 9.9747
_cell_angle_alpha 90.00
_cell_angle_beta 90.00
_cell_angle_gamma 90.00
_space_group_name_H-M_alt 'P 1'
_space_group_IT_number 1
loop_
_space_group_symop_operation_xyz
'x,y,z'
loop_
_atom_site_label
_atom_site_type_symbol
_atom_site_fract_x
_atom_site_fract_y
_atom_site_fract_z
Ca1 Ca 0.2540 0.7540 0.7460
Ca2 Ca 0.7540 0.7460 0.2540
Ca3 Ca 0.7460 0.2540 0.7540
Ca4 Ca 0.2460 0.2460 0.2460
Ca5 Ca 0.7096 0.2096 0.2904
Ca6 Ca 0.2096 0.2904 0.7096
Ca7 Ca 0.2904 0.7096 0.2096
Ca8 Ca 0.7904 0.7904 0.7904
Sn1 Sn 0.0160 0.5160 0.9840
Sn2 Sn 0.5160 0.9840 0.0160
Sn3 Sn 0.9840 0.0160 0.5160
Sn4 Sn 0.4840 0.4840 0.4840
Sn5 Sn 0.4814 0.9814 0.5186
Sn6 Sn 0.9814 0.5186 0.4814
Sn7 Sn 0.5186 0.4814 0.9814
Sn8 Sn 0.0186 0.0186 0.0186
S1 S 0.0376 0.7754 0.9330
S2 S 0.0670 0.5376 0.7246
S3 S 0.2754 0.5670 0.9624
S4 S 0.5376 0.7246 0.0670
S5 S 0.5670 0.9624 0.2754
S6 S 0.7754 0.9330 0.0376
S7 S 0.9624 0.2754 0.5670
S8 S 0.9330 0.0376 0.7754
S9 S 0.7246 0.0670 0.5376
S10 S 0.4624 0.2246 0.4330
S11 S 0.4330 0.4624 0.2246
S12 S 0.2246 0.4330 0.4624
S13 S 0.1011 0.2735 0.9926
S14 S 0.0074 0.6011 0.2265
S15 S 0.7735 0.5074 0.8989
S16 S 0.6011 0.2265 0.0074
S17 S 0.5074 0.8989 0.7735
S18 S 0.2735 0.9926 0.1011
S19 S 0.8989 0.7735 0.5074
S20 S 0.9926 0.1011 0.2735
S21 S 0.2265 0.0074 0.6011
S22 S 0.3989 0.7265 0.4926
S23 S 0.4926 0.3989 0.7265
S24 S 0.7265 0.4926 0.3989


# CaSn6S13 | the Materials Project | PBE | optimized geometry
# uncorrected energy: -0.32319 Ry/atom
data_CaSn6S13
_chemical_formula_sum 'Ca2 Sn12 S26'
_cell_length_a 9.7864
_cell_length_b 9.7591
_cell_length_c 12.0833
_cell_angle_alpha 105.98
_cell_angle_beta 103.32
_cell_angle_gamma 58.91
_space_group_name_H-M_alt 'P 1'
_space_group_IT_number 1
loop_
_space_group_symop_operation_xyz
'x,y,z'
loop_
_atom_site_label
_atom_site_type_symbol
_atom_site_fract_x
_atom_site_fract_y
_atom_site_fract_z
Ca1 Ca 0.3480 0.9619 0.1549
Ca2 Ca 0.6520 0.0381 0.8451
Sn1 Sn 0.6736 0.3725 0.2335
Sn2 Sn 0.3264 0.6275 0.7665
Sn3 Sn 0.8930 0.9270 0.2156
Sn4 Sn 0.1070 0.0730 0.7844
Sn5 Sn 0.2107 0.4252 0.9759
Sn6 Sn 0.7893 0.5748 0.0241
Sn7 Sn 0.2420 0.5244 0.2759
Sn8 Sn 0.7580 0.4756 0.7241
Sn9 Sn 0.4201 0.8545 0.4995
Sn10 Sn 0.5799 0.1455 0.5005
Sn11 Sn 0.8633 0.7219 0.5100
Sn12 Sn 0.1367 0.2781 0.4900
S1 S 0.1617 0.7126 0.1301
S2 S 0.8383 0.2874 0.8699
S3 S 0.4474 0.3004 0.1396
S4 S 0.5526 0.6996 0.8604
S5 S 0.6061 0.8726 0.3778
S6 S 0.3939 0.1274 0.6222
S7 S 0.6758 0.8827 0.0910
S8 S 0.3242 0.1173 0.9090
S9 S 0.8980 0.4532 0.3654
S10 S 0.1020 0.5468 0.6346
S11 S 0.8698 0.1276 0.1060
S12 S 0.1302 0.8724 0.8940
S13 S 0.4757 0.5697 0.3868
S14 S 0.5243 0.4303 0.6132
S15 S 0.1901 0.0031 0.3549
S16 S 0.8099 0.9969 0.6451
S17 S 0.7555 0.1659 0.3730
S18 S 0.2445 0.8341 0.6270
S19 S 0.5843 0.5964 0.1270
S20 S 0.4157 0.4036 0.8730
S21 S 0.0213 0.7619 0.3843
S22 S 0.9788 0.2381 0.6157
S23 S 0.0651 0.4055 0.1251
S24 S 0.9349 0.5945 0.8749
S25 S 0.3205 0.2700 0.3603
S26 S 0.6795 0.7300 0.6397


# CaSn2S5 | the Materials Project | PBE | optimized geometry
# distance to the lowest polymorph of the same formula: 104 meV/atom
data_CaSn2S5
_chemical_formula_sum 'Ca4 Sn8 S20'
_cell_length_a 10.8429
_cell_length_b 10.8429
_cell_length_c 10.8429
_cell_angle_alpha 60.00
_cell_angle_beta 60.00
_cell_angle_gamma 60.00
_space_group_name_H-M_alt 'P 1'
_space_group_IT_number 1
loop_
_space_group_symop_operation_xyz
'x,y,z'
loop_
_atom_site_label
_atom_site_type_symbol
_atom_site_fract_x
_atom_site_fract_y
_atom_site_fract_z
Ca1 Ca 0.6250 0.1250 0.1250
Ca2 Ca 0.1250 0.6250 0.1250
Ca3 Ca 0.1250 0.1250 0.6250
Ca4 Ca 0.1250 0.1250 0.1250
Sn1 Sn 0.4858 0.8381 0.8381
Sn2 Sn 0.8381 0.4858 0.8381
Sn3 Sn 0.8381 0.8381 0.4858
Sn4 Sn 0.8381 0.8381 0.8381
Sn5 Sn 0.7642 0.4119 0.4119
Sn6 Sn 0.4119 0.7642 0.4119
Sn7 Sn 0.4119 0.4119 0.7642
Sn8 Sn 0.4119 0.4119 0.4119
S1 S 0.2220 0.9260 0.9260
S2 S 0.9260 0.2220 0.9260
S3 S 0.9260 0.9260 0.2220
S4 S 0.9260 0.9260 0.9260
S5 S 0.0280 0.3240 0.3240
S6 S 0.3240 0.0280 0.3240
S7 S 0.3240 0.3240 0.0280
S8 S 0.3240 0.3240 0.3240
S9 S 0.5644 0.9356 0.9356
S10 S 0.9356 0.5644 0.5644
S11 S 0.9356 0.9356 0.5644
S12 S 0.5644 0.5644 0.9356
S13 S 0.9356 0.5644 0.9356
S14 S 0.5644 0.9356 0.5644
S15 S 0.6856 0.3144 0.3144
S16 S 0.3144 0.6856 0.6856
S17 S 0.3144 0.3144 0.6856
S18 S 0.6856 0.6856 0.3144
S19 S 0.3144 0.6856 0.3144
S20 S 0.6856 0.3144 0.6856


# Ca3Sn5S13 | the Materials Project | PBE | optimized geometry
# uncorrected energy: -0.33153 Ry/atom
data_Ca3Sn5S13
_chemical_formula_sum 'Ca15 Sn25 S65'
_cell_length_a 7.0884
_cell_length_b 15.0096
_cell_length_c 39.0772
_cell_angle_alpha 90.00
_cell_angle_beta 91.72
_cell_angle_gamma 90.00
_space_group_name_H-M_alt 'P 1'
_space_group_IT_number 1
loop_
_space_group_symop_operation_xyz
'x,y,z'
loop_
_atom_site_label
_atom_site_type_symbol
_atom_site_fract_x
_atom_site_fract_y
_atom_site_fract_z
Ca1 Ca 0.4975 0.0000 0.8224
Ca2 Ca 0.5025 0.0000 0.1776
Ca3 Ca 0.5233 0.6671 0.8261
Ca4 Ca 0.5233 0.3329 0.8261
Ca5 Ca 0.4767 0.3329 0.1739
Ca6 Ca 0.4767 0.6671 0.1739
Ca7 Ca 0.0714 0.0000 0.9086
Ca8 Ca 0.9286 0.0000 0.0914
Ca9 Ca 0.0392 0.6577 0.9206
Ca10 Ca 0.0392 0.3423 0.9206
Ca11 Ca 0.9608 0.3423 0.0794
Ca12 Ca 0.9608 0.6577 0.0794
Ca13 Ca 0.5000 0.0000 0.0000
Ca14 Ca 0.5000 0.6597 0.0000
Ca15 Ca 0.5000 0.3403 0.0000
Sn1 Sn 0.6597 0.8604 0.7308
Sn2 Sn 0.6597 0.1396 0.7308
Sn3 Sn 0.3403 0.1396 0.2692
Sn4 Sn 0.3403 0.8604 0.2692
Sn5 Sn 0.1564 0.7567 0.7260
Sn6 Sn 0.1564 0.2433 0.7260
Sn7 Sn 0.8436 0.2433 0.2740
Sn8 Sn 0.8436 0.7567 0.2740
Sn9 Sn 0.0323 0.5000 0.7458
Sn10 Sn 0.9677 0.5000 0.2542
Sn11 Sn 0.9902 0.8347 0.8271
Sn12 Sn 0.9902 0.1653 0.8271
Sn13 Sn 0.0098 0.1653 0.1729
Sn14 Sn 0.0098 0.8347 0.1729
Sn15 Sn 0.9688 0.5000 0.8330
Sn16 Sn 0.0312 0.5000 0.1670
Sn17 Sn 0.5168 0.8360 0.9119
Sn18 Sn 0.5168 0.1640 0.9119
Sn19 Sn 0.4832 0.1640 0.0881
Sn20 Sn 0.4832 0.8360 0.0881
Sn21 Sn 0.4951 0.5000 0.9106
Sn22 Sn 0.5049 0.5000 0.0894
Sn23 Sn 0.0000 0.8367 0.0000
Sn24 Sn 0.0000 0.1633 0.0000
Sn25 Sn 0.0000 0.5000 0.0000
S1 S 0.9540 0.8743 0.7015
S2 S 0.9540 0.1257 0.7015
S3 S 0.0460 0.1257 0.2985
S4 S 0.0460 0.8743 0.2985
S5 S 0.4520 0.7670 0.6954
S6 S 0.4520 0.2330 0.6954
S7 S 0.5480 0.2330 0.3046
S8 S 0.5480 0.7670 0.3046
S9 S 0.4867 0.0000 0.7406
S10 S 0.5133 0.0000 0.2594
S11 S 0.0173 0.6196 0.7039
S12 S 0.0173 0.3804 0.7039
S13 S 0.9827 0.3804 0.2961
S14 S 0.9827 0.6196 0.2961
S15 S 0.6907 0.8110 0.7897
S16 S 0.6907 0.1890 0.7897
S17 S 0.3093 0.1890 0.2103
S18 S 0.3093 0.8110 0.2103
S19 S 0.2385 0.7734 0.7855
S20 S 0.2385 0.2266 0.7855
S21 S 0.7615 0.2266 0.2145
S22 S 0.7615 0.7734 0.2145
S23 S 0.2592 0.5000 0.7945
S24 S 0.7408 0.5000 0.2055
S25 S 0.7510 0.5000 0.7796
S26 S 0.2490 0.5000 0.2204
S27 S 0.0459 0.0000 0.8030
S28 S 0.9541 0.0000 0.1970
S29 S 0.9131 0.6744 0.8493
S30 S 0.9131 0.3256 0.8493
S31 S 0.0869 0.3256 0.1507
S32 S 0.0869 0.6744 0.1507
S33 S 0.2846 0.8778 0.8619
S34 S 0.2846 0.1222 0.8619
S35 S 0.7154 0.1222 0.1381
S36 S 0.7154 0.8778 0.1381
S37 S 0.7702 0.8936 0.8729
S38 S 0.7702 0.1064 0.8729
S39 S 0.2298 0.1064 0.1271
S40 S 0.2298 0.8936 0.1271
S41 S 0.1516 0.5000 0.8887
S42 S 0.8484 0.5000 0.1113
S43 S 0.6197 0.5000 0.8521
S44 S 0.3803 0.5000 0.1479
S45 S 0.4568 0.0000 0.9299
S46 S 0.5432 0.0000 0.0701
S47 S 0.4303 0.6736 0.8986
S48 S 0.4303 0.3264 0.8986
S49 S 0.5697 0.3264 0.1014
S50 S 0.5697 0.6736 0.1014
S51 S 0.1472 0.8271 0.9429
S52 S 0.1472 0.1729 0.9429
S53 S 0.8528 0.1729 0.0571
S54 S 0.8528 0.8271 0.0571
S55 S 0.6603 0.8154 0.9710
S56 S 0.6603 0.1846 0.9710
S57 S 0.3397 0.1846 0.0290
S58 S 0.3397 0.8154 0.0290
S59 S 0.3297 0.5000 0.9684
S60 S 0.6703 0.5000 0.0316
S61 S 0.8108 0.5000 0.9405
S62 S 0.1892 0.5000 0.0595
S63 S 0.0000 0.0000 0.0000
S64 S 0.0000 0.6593 0.0000
S65 S 0.0000 0.3407 0.0000


We obtain magnetization values of 0.00 0.00 0.00 0.04 0.00 0.00 0.00 0.02 Bohr magnetons per cell for the records listed above, in that order.